No. 1
An optimized crystal structure of Pr2InGe2, computed with meta-GGA r2SCAN. Values from VASP.

Geometry as Quantum ESPRESSO input:
```
&SYSTEM
  ibrav = 0, nat = 10, ntyp = 3
/
ATOMIC_SPECIES
Pr 140.91 Pr.upf
In 114.82 In.upf
Ge 72.64 Ge.upf
CELL_PARAMETERS angstrom
7.6260 0.0000 0.0000
0.0000 7.6260 0.0000
0.0000 0.0000 4.3673
ATOMIC_POSITIONS crystal
Pr 0.1807 0.3193 0.0000
Pr 0.3193 0.8193 0.0000
Pr 0.6807 0.1807 0.0000
Pr 0.8193 0.6807 0.0000
In 0.0000 0.0000 0.5000
In 0.5000 0.5000 0.5000
Ge 0.1162 0.6162 0.5000
Ge 0.3838 0.1162 0.5000
Ge 0.6162 0.8838 0.5000
Ge 0.8838 0.3838 0.5000
```

Calculated values
VASP energy (eV per atom): -22.657
Crystal system: tetragonal
ΔE_f (eV per atom): -0.831
Space group: P4/mbm (127)

=====

No. 2
An optimized crystal structure of CuMoF6, computed with meta-GGA r2SCAN. Values from VASP.

Geometry as Quantum ESPRESSO input:
```
&SYSTEM
  ibrav = 0, nat = 8, ntyp = 3
/
ATOMIC_SPECIES
Cu 63.55 Cu.upf
Mo 95.94 Mo.upf
F 19.00 F.upf
CELL_PARAMETERS angstrom
2.5231 1.4567 4.5784
-2.5231 1.4567 4.5784
0.0000 -2.9135 4.5784
ATOMIC_POSITIONS crystal
Cu 0.0000 0.0000 0.0000
Mo 0.5000 0.5000 0.5000
F 0.1143 0.3999 0.7447
F 0.2553 0.8857 0.6001
F 0.3999 0.7447 0.1143
F 0.6001 0.2553 0.8857
F 0.7447 0.1143 0.3999
F 0.8857 0.6001 0.2553
```

Calculated values
VASP energy (eV per atom): -9.304
Crystal system: trigonal
ΔE_f (eV per atom): -2.345
Space group: R-3 (148)

=====

No. 3
An optimized crystal structure of DyGaAg, computed with meta-GGA r2SCAN. Values from VASP.

Geometry as Quantum ESPRESSO input:
```
&SYSTEM
  ibrav = 0, nat = 6, ntyp = 3
/
ATOMIC_SPECIES
Dy 162.50 Dy.upf
Ga 69.72 Ga.upf
Ag 107.87 Ag.upf
CELL_PARAMETERS angstrom
5.2122 -2.2543 0.0000
5.2122 2.2543 0.0000
-4.7648 0.0000 5.3141
ATOMIC_POSITIONS crystal
Dy 0.0334 0.0334 0.2902
Dy 0.9666 0.9666 0.7098
Ga 0.3418 0.3418 0.8817
Ga 0.6582 0.6582 0.1183
Ag 0.3267 0.3267 0.2788
Ag 0.6733 0.6733 0.7212
```

Calculated values
VASP energy (eV per atom): -22.138
Crystal system: monoclinic
ΔE_f (eV per atom): -0.544
Space group: C2/m (12)

=====

No. 4
An optimized crystal structure of Tm3Sn, computed with meta-GGA r2SCAN. Values from VASP.

Geometry as Quantum ESPRESSO input:
```
&SYSTEM
  ibrav = 0, nat = 8, ntyp = 2
/
ATOMIC_SPECIES
Tm 168.93 Tm.upf
Sn 118.71 Sn.upf
CELL_PARAMETERS angstrom
6.7148 0.0000 0.0000
-3.3574 5.8151 0.0000
0.0000 0.0000 5.4840
ATOMIC_POSITIONS crystal
Tm 0.1698 0.3395 0.2500
Tm 0.1698 0.8302 0.2500
Tm 0.3395 0.1698 0.7500
Tm 0.6605 0.8302 0.2500
Tm 0.8302 0.1698 0.7500
Tm 0.8302 0.6605 0.7500
Sn 0.3333 0.6667 0.7500
Sn 0.6667 0.3333 0.2500
```

Calculated values
VASP energy (eV per atom): -32.969
Crystal system: hexagonal
ΔE_f (eV per atom): -0.442
Space group: P6_3/mmc (194)

=====

No. 5
An optimized crystal structure of YbCdHg2, computed with meta-GGA r2SCAN. Values from VASP.

Geometry as Quantum ESPRESSO input:
```
&SYSTEM
  ibrav = 0, nat = 4, ntyp = 3
/
ATOMIC_SPECIES
Yb 173.04 Yb.upf
Cd 112.41 Cd.upf
Hg 200.59 Hg.upf
CELL_PARAMETERS angstrom
0.0000 3.5351 3.5351
3.5351 0.0000 3.5351
3.5351 3.5351 0.0000
ATOMIC_POSITIONS crystal
Yb 0.0000 0.0000 0.0000
Cd 0.5000 0.5000 0.5000
Hg 0.2500 0.2500 0.2500
Hg 0.7500 0.7500 0.7500
```

Calculated values
VASP energy (eV per atom): -39.221
Crystal system: cubic
ΔE_f (eV per atom): -0.379
Space group: Fm-3m (225)

=====

No. 6
An optimized crystal structure of AcEuMg2, computed with meta-GGA r2SCAN. Values from VASP.

Geometry as Quantum ESPRESSO input:
```
&SYSTEM
  ibrav = 0, nat = 4, ntyp = 3
/
ATOMIC_SPECIES
Ac 227.00 Ac.upf
Eu 151.96 Eu.upf
Mg 24.30 Mg.upf
CELL_PARAMETERS angstrom
0.0000 4.0904 4.0904
4.0904 0.0000 4.0904
4.0904 4.0904 0.0000
ATOMIC_POSITIONS crystal
Ac 0.0000 0.0000 0.0000
Eu 0.5000 0.5000 0.5000
Mg 0.2500 0.2500 0.2500
Mg 0.7500 0.7500 0.7500
```

Calculated values
VASP energy (eV per atom): -28.950
Crystal system: cubic
ΔE_f (eV per atom): -0.076
Space group: Fm-3m (225)

=====

No. 7
An optimized crystal structure of Nb2Se17Cl12, computed with meta-GGA r2SCAN. Values from VASP.

Geometry as Quantum ESPRESSO input:
```
&SYSTEM
  ibrav = 0, nat = 62, ntyp = 3
/
ATOMIC_SPECIES
Nb 92.91 Nb.upf
Se 78.96 Se.upf
Cl 35.45 Cl.upf
CELL_PARAMETERS angstrom
11.6503 0.0000 0.0000
-2.3026 13.2077 0.0000
-2.2145 -5.3527 12.1995
ATOMIC_POSITIONS crystal
Nb 0.1635 0.2815 0.0013
Nb 0.3102 0.7285 0.5235
Nb 0.6898 0.2715 0.4765
Nb 0.8365 0.7185 0.9987
Se 0.0404 0.0373 0.3988
Se 0.0720 0.1135 0.2735
Se 0.1190 0.3968 0.6629
Se 0.1222 0.3056 0.3763
Se 0.1476 0.5881 0.7385
Se 0.1838 0.6283 0.9256
Se 0.2427 0.0674 0.4928
Se 0.2559 0.1921 0.6631
Se 0.2644 0.8970 0.2225
Se 0.3146 0.3784 0.6531
Se 0.3206 0.3425 0.4642
Se 0.3218 0.9115 0.9685
Se 0.3290 0.0238 0.1517
Se 0.3906 0.6600 0.1547
Se 0.3934 0.6487 0.9637
Se 0.4474 0.8436 0.2569
Se 0.4825 0.8360 0.9860
Se 0.5175 0.1640 0.0140
Se 0.5526 0.1564 0.7431
Se 0.6066 0.3513 0.0363
Se 0.6094 0.3400 0.8453
Se 0.6710 0.9762 0.8483
Se 0.6782 0.0885 0.0315
Se 0.6794 0.6575 0.5358
Se 0.6854 0.6216 0.3469
Se 0.7356 0.1030 0.7775
Se 0.7441 0.8079 0.3369
Se 0.7573 0.9326 0.5072
Se 0.8162 0.3717 0.0744
Se 0.8524 0.4119 0.2615
Se 0.8778 0.6944 0.6237
Se 0.8810 0.6032 0.3371
Se 0.9280 0.8865 0.7265
Se 0.9596 0.9627 0.6012
Cl 0.0161 0.1689 0.0417
Cl 0.0261 0.2794 0.8520
Cl 0.1203 0.4444 0.1162
Cl 0.1494 0.5734 0.4907
Cl 0.1859 0.7595 0.3848
Cl 0.2090 0.1186 0.8842
Cl 0.2322 0.8410 0.6623
Cl 0.3140 0.2965 0.1512
Cl 0.3221 0.3884 0.9540
Cl 0.3927 0.6122 0.3859
Cl 0.4296 0.6849 0.6536
Cl 0.4622 0.8844 0.5513
Cl 0.5378 0.1156 0.4487
Cl 0.5704 0.3151 0.3464
Cl 0.6073 0.3878 0.6141
Cl 0.6779 0.6116 0.0460
Cl 0.6860 0.7035 0.8488
Cl 0.7678 0.1590 0.3377
Cl 0.7910 0.8814 0.1158
Cl 0.8141 0.2405 0.6152
Cl 0.8506 0.4266 0.5093
Cl 0.8797 0.5556 0.8838
Cl 0.9739 0.7206 0.1480
Cl 0.9839 0.8311 0.9583
```

Calculated values
VASP energy (eV per atom): -12.405
Crystal system: triclinic
ΔE_f (eV per atom): -0.579
Space group: P-1 (2)

=====

No. 8
An optimized crystal structure of Tm2Re3Si5, computed with meta-GGA r2SCAN. Values from VASP.

Geometry as Quantum ESPRESSO input:
```
&SYSTEM
  ibrav = 0, nat = 40, ntyp = 3
/
ATOMIC_SPECIES
Tm 168.93 Tm.upf
Re 186.21 Re.upf
Si 28.09 Si.upf
CELL_PARAMETERS angstrom
10.9182 0.0000 0.0000
0.0000 10.9182 0.0000
0.0000 0.0000 5.4505
ATOMIC_POSITIONS crystal
Tm 0.0784 0.2374 0.0000
Tm 0.2374 0.9216 0.0000
Tm 0.2626 0.4216 0.5000
Tm 0.4216 0.7374 0.5000
Tm 0.5784 0.2626 0.5000
Tm 0.7374 0.5784 0.5000
Tm 0.7626 0.0784 0.0000
Tm 0.9216 0.7626 0.0000
Re 0.0000 0.5000 0.2500
Re 0.0000 0.5000 0.7500
Re 0.1245 0.8526 0.5000
Re 0.1474 0.1245 0.5000
Re 0.3526 0.6245 0.0000
Re 0.3755 0.3526 0.0000
Re 0.5000 0.0000 0.2500
Re 0.5000 0.0000 0.7500
Re 0.6245 0.6474 0.0000
Re 0.6474 0.3755 0.0000
Re 0.8526 0.8755 0.5000
Re 0.8755 0.1474 0.5000
Si 0.0000 0.0000 0.2421
Si 0.0000 0.0000 0.7579
Si 0.0278 0.3136 0.5000
Si 0.1721 0.6721 0.2500
Si 0.1721 0.6721 0.7500
Si 0.1864 0.4722 0.0000
Si 0.3136 0.9722 0.5000
Si 0.3279 0.1721 0.2500
Si 0.3279 0.1721 0.7500
Si 0.4722 0.8136 0.0000
Si 0.5000 0.5000 0.2579
Si 0.5000 0.5000 0.7421
Si 0.5278 0.1864 0.0000
Si 0.6721 0.8279 0.2500
Si 0.6721 0.8279 0.7500
Si 0.6864 0.0278 0.5000
Si 0.8136 0.5278 0.0000
Si 0.8279 0.3279 0.2500
Si 0.8279 0.3279 0.7500
Si 0.9722 0.6864 0.5000
```

Calculated values
VASP energy (eV per atom): -27.766
Crystal system: tetragonal
ΔE_f (eV per atom): -0.632
Space group: P4/mnc (128)

=====

No. 9
An optimized crystal structure of GaFe3, computed with meta-GGA r2SCAN. Values from VASP.

Geometry as Quantum ESPRESSO input:
```
&SYSTEM
  ibrav = 0, nat = 8, ntyp = 2
/
ATOMIC_SPECIES
Ga 69.72 Ga.upf
Fe 55.84 Fe.upf
CELL_PARAMETERS angstrom
5.1637 0.0000 0.0000
-2.5818 4.4719 0.0000
0.0000 0.0000 4.2183
ATOMIC_POSITIONS crystal
Ga 0.3333 0.6667 0.2500
Ga 0.6667 0.3333 0.7500
Fe 0.1597 0.3194 0.7500
Fe 0.1597 0.8403 0.7500
Fe 0.3194 0.1597 0.2500
Fe 0.6806 0.8403 0.7500
Fe 0.8403 0.1597 0.2500
Fe 0.8403 0.6806 0.2500
```

Calculated values
VASP energy (eV per atom): -13.758
Crystal system: hexagonal
ΔE_f (eV per atom): -0.087
Space group: P6_3/mmc (194)

=====

No. 10
An optimized crystal structure of SrAcCd2, computed with meta-GGA r2SCAN. Values from VASP.

Geometry as Quantum ESPRESSO input:
```
&SYSTEM
  ibrav = 0, nat = 4, ntyp = 3
/
ATOMIC_SPECIES
Sr 87.62 Sr.upf
Ac 227.00 Ac.upf
Cd 112.41 Cd.upf
CELL_PARAMETERS angstrom
0.0000 4.0558 4.0558
4.0558 0.0000 4.0558
4.0558 4.0558 0.0000
ATOMIC_POSITIONS crystal
Sr 0.0000 0.0000 0.0000
Ac 0.5000 0.5000 0.5000
Cd 0.2500 0.2500 0.2500
Cd 0.7500 0.7500 0.7500
```

Calculated values
VASP energy (eV per atom): -31.344
Crystal system: cubic
ΔE_f (eV per atom): -0.345
Space group: Fm-3m (225)

=====

No. 11
An optimized crystal structure of BaNb7O9, computed with meta-GGA r2SCAN. Values from VASP.

Geometry as Quantum ESPRESSO input:
```
&SYSTEM
  ibrav = 0, nat = 17, ntyp = 3
/
ATOMIC_SPECIES
Ba 137.33 Ba.upf
Nb 92.91 Nb.upf
O 16.00 O.upf
CELL_PARAMETERS angstrom
4.2337 0.0000 0.0000
0.0000 4.2337 0.0000
0.0000 0.0000 12.5294
ATOMIC_POSITIONS crystal
Ba 0.0000 0.0000 0.0000
Nb 0.0000 0.5000 0.3286
Nb 0.0000 0.5000 0.6714
Nb 0.5000 0.0000 0.3286
Nb 0.5000 0.0000 0.6714
Nb 0.5000 0.5000 0.1688
Nb 0.5000 0.5000 0.5000
Nb 0.5000 0.5000 0.8312
O 0.0000 0.0000 0.3350
O 0.0000 0.0000 0.6650
O 0.0000 0.5000 0.1604
O 0.0000 0.5000 0.5000
O 0.0000 0.5000 0.8396
O 0.5000 0.0000 0.1604
O 0.5000 0.0000 0.5000
O 0.5000 0.0000 0.8396
O 0.5000 0.5000 0.0000
```

Calculated values
VASP energy (eV per atom): -17.319
Crystal system: tetragonal
ΔE_f (eV per atom): -2.414
Space group: P4/mmm (123)

=====

No. 12
An optimized crystal structure of Ho3InN, computed with meta-GGA r2SCAN. Values from VASP.

Geometry as Quantum ESPRESSO input:
```
&SYSTEM
  ibrav = 0, nat = 5, ntyp = 3
/
ATOMIC_SPECIES
Ho 164.93 Ho.upf
In 114.82 In.upf
N 14.01 N.upf
CELL_PARAMETERS angstrom
4.7623 0.0000 0.0000
0.0000 4.7623 0.0000
0.0000 0.0000 4.7623
ATOMIC_POSITIONS crystal
Ho 0.0000 0.0000 0.5000
Ho 0.0000 0.5000 0.0000
Ho 0.5000 0.0000 0.0000
In 0.5000 0.5000 0.5000
N 0.0000 0.0000 0.0000
```

Calculated values
VASP energy (eV per atom): -27.279
Crystal system: cubic
ΔE_f (eV per atom): -1.209
Space group: Pm-3m (221)